Entry from Materials Project: a relaxed structure of Fe6O7F5 (GGA+U).

Electronic total energy, eV per atom: -6.03
Energy of formation, meV/atom: -1902
Relative energy among the computed polymorphs, meV per atom: 13
Corrected total energy (MP2020 scheme), eV per atom: -7.181
Magnetic moment, μB/f.u.: 29.00

abc: 5.623 5.622 7.344
angles: 71.68 71.60 71.51
Element x y z (fractional)
Fe 0.693 0.681 0.842
Fe 0.338 0.338 0.669
Fe 0.679 0.617 0.310
Fe 0.329 0.331 0.164
Fe 0.984 0.994 0.507
Fe 0.972 0.037 0.005
O 0.040 0.638 0.664
O 0.228 0.242 0.957
O 0.773 0.787 0.037
O 0.427 0.416 0.377
O 0.982 0.336 0.329
O 0.635 0.035 0.670
O 0.680 0.329 0.006
F 0.368 0.947 0.337
F 0.898 0.883 0.302
F 0.577 0.572 0.622
F 0.102 0.099 0.703
F 0.295 0.717 0.000